(1)
VASP calculation (PBE with a Hubbard U) on Mg6CoCO8 after structural relaxation.

Properties
The calculation puts the energy above the most stable polymorph in this dataset at 15 meV per atom. The calculation puts the final energy at -5.783 eV per atom. Its volume is 151.3 Å³ per cell.

a b c (Å): 4.205 4.205 8.559
angles (deg): 90.00 90.00 90.00
Space group P4/mmm (No. 123)
Inequivalent atoms, fractional coordinates:
Mg1 0.000 0.000 0.000 [1 per cell]
Mg2 0.000 0.500 0.255 [4 per cell]
Mg3 0.500 0.500 0.000 [1 per cell]
Co1 0.000 0.000 0.500 [1 per cell]
C1 0.500 0.500 0.500 [1 per cell]
O1 0.000 0.000 0.249 [2 per cell]
O2 0.000 0.500 0.000 [2 per cell]
O3 0.000 0.500 0.500 [2 per cell]
O4 0.500 0.500 0.251 [2 per cell]

=====

(2)
VASP calculation (PBE with a Hubbard U) on YCoC6N6O5 after structural relaxation.

Properties
The calculation puts the final energy at -6.882 eV per atom. Its volume is 638.2 Å³ per cell.

a b c (Å): 7.5701 7.5701 12.8594
angles (deg): 90.00 90.00 120.00
Space group P6_3/m (No. 176)
Inequivalent atoms, fractional coordinates:
Y1 0.3333 0.6667 0.2500 [2 per cell]
Co1 0.0000 0.0000 0.0000 [2 per cell]
C1 0.1039 0.8696 0.0824 [12 per cell]
N1 0.1730 0.7890 0.1322 [12 per cell]
O1 0.0731 0.5593 0.7500 [6 per cell]
O2 0.3333 0.6667 0.6566 [4 per cell]

=====

(3)
VASP calculation (PBE with a Hubbard U) on Na5CoCO5 after structural relaxation.

Properties
The calculation puts the final energy at -5.225 eV per atom. Its volume is 187.0 Å³ per cell.

a b c (Å): 4.524 8.340 4.956
angles (deg): 90.00 90.00 90.00
Space group Pmm2 (No. 25)
Inequivalent atoms, fractional coordinates:
Na1 0.000 0.000 0.000 [1 per cell]
Na2 0.000 0.276 0.518 [2 per cell]
Na3 0.500 0.262 0.007 [2 per cell]
Co1 0.000 0.500 0.018 [1 per cell]
C1 0.500 0.000 0.440 [1 per cell]
O1 0.000 0.288 0.019 [2 per cell]
O2 0.500 0.000 0.177 [1 per cell]
O3 0.500 0.137 0.568 [2 per cell]

=====

(4)
VASP calculation (PBE with a Hubbard U) on NaCoC4O4 after structural relaxation.

Properties
The calculation puts the final energy at -7.016 eV per atom. Its volume is 732.5 Å³ per cell.

a b c (Å): 5.641 13.935 9.319
angles (deg): 90.00 90.00 90.00
Space group Pbcm (No. 57)
Inequivalent atoms, fractional coordinates:
Na1 0.087 0.084 0.250 [4 per cell]
Co1 0.312 0.623 0.750 [4 per cell]
C1 0.137 0.623 0.596 [8 per cell]
C2 0.470 0.034 0.750 [4 per cell]
C3 0.488 0.725 0.750 [4 per cell]
O1 0.021 0.626 0.009 [8 per cell]
O2 0.308 0.519 0.250 [4 per cell]
O3 0.384 0.209 0.250 [4 per cell]

=====

(5)
VASP calculation (PBE with a Hubbard U) on NaCoPCO7 after structural relaxation.

Properties
The calculation puts the final energy at -6.587 eV per atom. Its volume is 295.4 Å³ per cell.

a b c (Å): 5.178 6.353 8.987
angles (deg): 90.00 92.46 90.00
Space group P2_1 (No. 4)
Inequivalent atoms, fractional coordinates:
Na1 0.242 0.000 0.249 [2 per cell]
Co1 0.214 0.809 0.842 [2 per cell]
P1 0.281 0.298 0.930 [2 per cell]
C1 0.287 0.781 0.575 [2 per cell]
O1 0.058 0.789 0.630 [2 per cell]
O2 0.131 0.285 0.074 [2 per cell]
O3 0.207 0.489 0.832 [2 per cell]
O4 0.221 0.101 0.831 [2 per cell]
O5 0.327 0.775 0.440 [2 per cell]
O6 0.423 0.804 0.030 [2 per cell]
O7 0.471 0.782 0.679 [2 per cell]

=====

(6)
VASP calculation (PBE with a Hubbard U) on Na4Co2PC4O16 after structural relaxation.

Properties
The calculation puts the final energy at -6.541 eV per atom. Its volume is 2768.5 Å³ per cell.

a b c (Å): 13.851 13.894 14.386
angles (deg): 90.00 90.00 90.00
Space group Fddd (No. 70, origin choice 2)
Inequivalent atoms, fractional coordinates:
Na1 0.089 0.375 0.375 [16 per cell]
Na2 0.125 0.339 0.125 [16 per cell]
Co1 0.000 0.000 0.500 [16 per cell]
P1 0.125 0.125 0.125 [8 per cell]
C1 0.033 0.034 0.711 [32 per cell]
O1 0.015 0.103 0.769 [32 per cell]
O2 0.021 0.274 0.888 [32 per cell]
O3 0.060 0.059 0.064 [32 per cell]
O4 0.102 0.276 0.523 [32 per cell]